(1)
# Na2Zr4Sc4Si3S9O48

Crystalline Na2Zr4Sc4Si3S9O48 at its relaxed geometry (PBE, the Materials Project).

Geometry as extended XYZ:
```
210
Lattice="8.978 0.000 0.000 0.016 15.566 0.000 0.030 0.044 23.319" Properties=species:S:1:pos:R:3 pbc="T T T"
Na 0.000 0.000 0.000
Na 8.990 0.088 11.723
Na 4.450 7.777 0.140
Na 4.473 7.777 11.631
Na 4.575 12.985 15.546
Na 8.896 5.172 3.980
Zr 0.035 4.969 12.186
Zr 0.134 5.066 18.917
Zr 0.125 10.373 4.437
Zr 4.362 12.841 7.271
Zr 4.376 2.623 16.018
Zr 4.438 12.849 0.592
Zr 4.491 7.681 19.861
Zr 4.483 7.687 8.246
Zr 4.521 2.613 4.481
Zr 8.955 10.412 16.083
Zr 8.981 15.508 8.283
Zr 9.010 15.522 19.873
Sc 0.012 5.028 0.423
Sc 0.067 15.440 3.516
Sc 0.088 10.323 11.072
Sc 0.122 10.313 22.912
Sc 4.422 2.587 22.755
Sc 4.421 7.665 15.102
Sc 4.465 2.533 11.151
Sc 4.481 12.857 12.045
Sc 4.521 7.730 3.464
Sc 4.609 12.969 18.947
Sc 8.808 5.082 7.370
Sc 8.948 15.540 15.063
Si 1.290 13.287 5.839
Si 1.313 2.865 21.425
Si 1.887 2.471 13.553
Si 2.614 10.214 1.936
Si 3.210 5.488 17.452
Si 3.200 10.630 9.768
Si 5.850 5.535 5.801
Si 7.616 2.855 9.721
Si 7.667 13.325 17.467
S 1.279 2.211 5.808
S 1.301 7.428 21.393
S 1.312 8.101 13.596
S 1.322 12.596 13.594
S 1.886 7.690 5.821
S 1.917 12.928 21.377
S 2.594 5.129 9.716
S 2.632 15.506 17.479
S 3.158 0.305 1.932
S 3.174 4.789 1.937
S 3.219 10.019 17.477
S 3.220 15.180 9.734
S 5.781 4.833 13.592
S 5.784 0.275 13.598
S 5.808 15.201 21.397
S 5.796 9.975 5.821
S 5.829 10.698 21.387
S 6.374 10.333 13.597
S 6.402 5.169 21.403
S 6.397 15.497 5.821
S 7.094 7.741 17.477
S 7.090 12.914 9.741
S 7.085 2.523 1.934
S 7.672 2.213 17.475
S 7.673 8.041 1.931
S 7.689 7.405 9.747
S 7.697 12.587 1.926
O 0.620 3.610 22.702
O 0.607 11.822 5.633
O 0.633 1.384 21.221
O 0.630 14.008 7.136
O 0.666 1.591 4.610
O 0.710 8.763 21.554
O 0.710 6.779 13.422
O 0.714 13.924 13.769
O 0.720 11.950 12.414
O 0.731 6.802 20.180
O 0.745 8.748 14.820
O 0.736 3.573 5.962
O 0.906 1.196 13.799
O 1.002 3.854 13.435
O 1.019 3.809 20.109
O 1.012 8.886 5.652
O 1.019 14.198 4.518
O 1.043 11.767 21.589
O 1.042 6.498 6.004
O 1.069 14.160 21.256
O 1.068 8.954 12.411
O 1.069 11.742 14.817
O 1.060 1.385 7.015
O 1.105 6.592 22.592
O 1.611 5.393 17.700
O 1.605 10.509 9.984
O 1.655 10.086 0.623
O 1.658 10.524 3.227
O 1.687 0.146 2.069
O 1.696 4.932 1.809
O 1.729 15.306 9.564
O 1.749 10.124 17.294
O 1.759 5.410 10.924
O 1.771 4.981 8.503
O 1.785 0.181 18.704
O 1.792 15.296 16.297
O 2.718 7.954 7.032
O 2.724 7.521 4.622
O 2.752 12.751 20.182
O 2.785 13.164 22.583
O 2.756 2.306 5.599
O 2.804 7.595 21.215
O 2.798 12.731 13.486
O 2.797 7.980 13.753
O 2.823 2.740 14.906
O 2.853 2.307 12.281
O 2.909 2.742 21.650
O 2.899 13.142 6.022
O 3.429 14.335 10.933
O 3.418 3.935 3.146
O 3.423 1.127 0.732
O 3.462 9.185 18.703
O 3.454 3.979 9.911
O 3.475 14.298 17.690
O 3.464 6.368 9.585
O 3.493 6.463 16.199
O 3.487 11.570 8.447
O 3.498 1.116 17.325
O 3.516 11.588 1.685
O 3.592 8.945 2.091
O 3.754 0.900 3.144
O 3.784 11.369 17.681
O 3.768 4.146 0.745
O 3.785 0.933 9.879
O 3.782 6.124 2.091
O 3.785 14.522 1.727
O 3.801 14.540 8.519
O 3.841 9.403 16.292
O 3.868 6.236 18.791
O 3.877 9.153 9.557
O 3.893 11.368 11.047
O 3.909 4.044 17.314
O 5.142 4.040 5.574
O 5.138 6.189 7.122
O 5.152 9.390 4.635
O 5.173 4.225 12.413
O 5.187 9.342 21.227
O 5.194 11.337 22.589
O 5.182 14.486 13.464
O 5.186 6.199 13.780
O 5.218 14.577 20.197
O 5.217 0.972 21.598
O 5.223 0.910 14.831
O 5.234 11.329 6.035
O 5.493 6.414 4.494
O 5.522 6.406 21.243
O 5.512 9.142 13.795
O 5.509 1.123 5.604
O 5.536 4.002 21.600
O 5.542 11.507 20.187
O 5.542 11.563 13.505
O 5.549 1.095 12.406
O 5.545 9.149 7.034
O 5.553 14.320 6.043
O 5.580 14.348 22.595
O 5.571 4.008 14.818
O 6.056 13.090 17.689
O 6.049 2.698 10.012
O 6.199 7.554 9.573
O 6.200 7.905 2.057
O 6.224 2.337 17.304
O 6.223 12.745 1.716
O 6.243 7.557 16.295
O 6.247 8.005 18.699
O 6.225 2.707 3.153
O 6.257 13.172 10.941
O 6.241 2.341 0.738
O 6.273 12.748 8.524
O 7.205 5.007 20.182
O 7.230 5.431 22.600
O 7.217 10.144 12.410
O 7.211 0.206 7.022
O 7.242 10.513 14.824
O 7.231 15.314 4.618
O 7.242 5.013 13.433
O 7.250 10.098 5.618
O 7.265 10.544 21.599
O 7.259 0.128 13.748
O 7.290 15.339 21.237
O 7.452 5.325 5.930
O 7.884 11.762 3.138
O 7.905 6.575 10.946
O 7.925 6.566 17.727
O 7.920 3.756 1.826
O 7.918 8.878 0.722
O 7.942 1.389 18.702
O 7.940 11.735 9.946
O 7.958 8.936 17.290
O 7.960 14.227 16.175
O 7.964 14.129 9.590
O 7.953 1.336 2.110
O 7.962 3.774 8.423
O 8.248 3.565 17.706
O 8.249 8.755 9.944
O 8.246 8.678 3.142
O 8.279 6.817 8.530
O 8.273 13.947 2.085
O 8.278 11.956 0.724
O 8.292 6.697 1.764
O 8.334 11.823 17.238
O 8.325 1.626 16.304
O 8.348 13.982 18.811
O 8.347 1.382 9.538
O 8.355 3.567 11.016
```

* formation enthalpy at 0 K: -2.7234 eV per atom
* E_tot: -7.298 eV per atom
* SG: P1 (1)

---

(2)
# NaSc3ZnS6O24

Crystalline NaSc3ZnS6O24 at its relaxed geometry (PBE, the Materials Project).

Geometry as extended XYZ:
```
105
Lattice="8.809 0.000 0.000 -4.405 7.629 0.000 0.000 0.000 22.884" Properties=species:S:1:pos:R:3 pbc="T T T"
Na 0.000 0.000 0.000
Na 0.000 0.000 11.403
Na 0.000 5.086 3.732
Sc 0.000 0.000 8.004
Sc 0.000 0.000 14.777
Sc 0.000 0.000 19.468
Sc 0.000 5.086 7.166
Sc 0.000 5.086 18.556
Sc 4.405 2.543 4.244
Sc 4.405 2.543 10.914
Sc 4.405 2.543 15.682
Sc 4.405 2.543 22.369
Zn 0.000 0.000 3.367
Zn 0.000 5.086 0.361
Zn 0.000 5.086 11.863
S 7.528 2.219 17.122
S -3.130 5.422 5.657
S -1.272 2.880 9.520
S -2.543 5.085 20.956
S 1.274 2.208 5.657
S 2.562 0.000 17.122
S 1.272 2.884 20.956
S -1.274 7.291 9.520
S 3.115 0.308 1.866
S 1.837 2.569 13.299
S 2.547 5.087 9.520
S 1.271 7.289 20.956
S 5.666 0.307 13.299
S 3.114 4.778 1.866
S 3.124 5.410 17.122
S 1.856 7.629 5.657
S 6.985 2.543 1.866
S 5.711 4.754 13.299
O -0.671 1.521 9.322
O -3.421 6.287 20.762
O -0.659 1.598 15.928
O -3.320 6.255 4.467
O -1.050 3.697 8.298
O -1.723 4.872 19.737
O -1.660 4.901 13.121
O -0.989 3.757 1.719
O -0.647 3.462 10.709
O -1.733 5.339 22.150
O -0.671 3.544 17.321
O -1.653 5.267 5.854
O 0.670 1.522 20.762
O -2.752 7.450 9.322
O 0.647 1.626 4.467
O -2.691 7.400 15.928
O 1.646 0.192 2.015
O 0.994 1.335 13.473
O 1.715 0.228 18.318
O 1.049 1.388 6.877
O 0.648 3.459 22.150
O -1.083 6.459 10.709
O -1.000 6.438 17.321
O 0.670 3.565 5.854
O 0.990 3.742 13.121
O -0.657 6.607 1.719
O 1.047 3.701 19.737
O -0.678 6.690 8.298
O 2.689 2.305 12.107
O 3.356 1.157 0.664
O 3.405 1.190 16.925
O 2.732 2.359 5.493
O 3.729 0.943 3.069
O 2.683 2.749 14.505
O 3.728 1.002 9.683
O 2.731 2.727 21.124
O 1.645 4.894 1.719
O 0.669 6.616 13.121
O 1.728 4.871 8.298
O 0.676 6.685 19.737
O 0.983 6.427 5.854
O 1.671 5.276 17.321
O 1.730 5.337 10.709
O 1.085 6.461 22.150
O 3.357 3.929 3.069
O 5.087 0.949 14.505
O 5.082 1.002 21.124
O 3.409 3.900 9.683
O 5.400 1.187 5.493
O 3.733 4.086 16.925
O 3.729 4.144 0.664
O 5.469 1.176 12.107
O 2.673 7.377 4.467
O 3.350 6.259 15.928
O 2.751 7.448 20.762
O 3.423 6.288 9.322
O 7.083 0.215 6.877
O 3.745 6.030 18.318
O 7.156 0.194 13.473
O 3.748 6.108 2.015
O 6.076 2.354 16.925
O 5.081 4.083 5.493
O 5.056 4.148 12.107
O 6.129 2.328 0.664
O 6.077 2.727 9.683
O 5.401 3.900 21.124
O 6.129 2.758 3.069
O 5.444 3.931 14.505
O 7.755 1.371 18.318
O 5.082 6.027 6.877
O 7.821 1.329 2.015
O 5.064 6.100 13.473
```

* formation enthalpy at 0 K: -2.4143 eV per atom
* E_tot: -6.662 eV per atom
* SG: P3 (143)

---

(3)
# Na3ScZn3S6O24

Crystalline Na3ScZn3S6O24 at its relaxed geometry (PBE, the Materials Project).

Geometry as extended XYZ:
```
111
Lattice="8.786 0.000 0.000 4.391 7.618 0.000 0.004 0.010 22.703" Properties=species:S:1:pos:R:3 pbc="T T T"
Na 0.000 0.000 0.000
Na 0.068 0.118 11.481
Na 5.607 5.137 9.499
Na 4.359 2.598 7.564
Na 4.430 2.607 18.993
Na 8.789 5.194 3.815
Na 8.818 5.142 15.177
Na 6.032 0.305 9.496
Na 9.995 2.603 1.874
Sc 4.418 2.608 15.587
Sc 4.437 2.598 4.222
Sc 8.815 0.065 19.373
Zn 0.006 0.009 3.449
Zn 0.062 0.107 7.872
Zn 4.369 2.600 11.131
Zn 4.450 2.609 22.274
Zn 8.787 5.194 0.306
Zn 8.813 5.153 18.575
Zn 8.823 5.126 7.162
Zn 8.828 5.124 11.840
Zn 8.820 0.073 14.789
S 1.828 2.598 13.252
S 3.146 4.851 1.888
S 2.598 0.038 17.028
S 5.726 5.464 5.709
S 5.717 4.862 13.238
S 3.144 0.353 1.895
S 7.528 7.374 9.479
S 6.259 5.127 20.831
S 6.995 2.599 1.889
S 5.729 0.357 13.238
S 10.076 7.375 20.832
S 7.558 2.915 9.480
S 6.245 0.039 5.710
S 7.559 2.308 17.029
S 11.371 5.120 9.475
S 10.117 2.936 20.844
S 11.900 5.475 17.027
S 10.082 2.304 5.682
O 0.987 1.393 13.403
O 3.747 6.184 2.066
O 3.740 6.082 18.237
O 1.107 1.475 6.887
O 3.369 3.980 3.103
O 2.700 2.803 14.445
O 2.799 2.773 20.977
O 3.500 3.949 9.611
O 2.641 2.378 12.034
O 3.735 4.224 0.703
O 2.792 2.438 5.545
O 3.761 4.120 16.900
O 1.655 0.263 2.066
O 5.088 6.188 13.390
O 1.761 0.277 18.238
O 5.120 6.014 6.954
O 5.387 6.354 20.681
O 6.043 7.490 9.326
O 5.478 6.282 4.519
O 6.174 7.464 15.829
O 3.340 1.219 0.719
O 5.138 4.273 11.988
O 3.450 1.275 16.900
O 5.090 4.105 5.556
O 5.381 3.940 20.969
O 3.776 1.101 9.620
O 5.445 3.992 14.416
O 3.732 1.001 3.116
O 7.047 5.378 22.051
O 7.728 6.526 10.672
O 7.189 5.307 5.841
O 7.858 6.478 17.191
O 7.068 4.927 19.626
O 8.160 6.779 8.274
O 8.149 6.639 1.787
O 7.190 4.964 13.130
O 5.094 1.111 20.971
O 6.046 2.766 9.602
O 5.111 1.027 14.416
O 6.155 2.798 3.110
O 5.387 1.269 5.559
O 6.062 2.427 16.899
O 6.169 2.384 0.708
O 5.514 1.156 11.988
O 7.735 3.756 8.279
O 9.500 6.775 19.626
O 9.469 6.649 13.128
O 7.878 3.801 1.796
O 9.768 6.470 5.839
O 8.146 3.649 17.193
O 8.131 3.517 10.683
O 9.905 6.563 22.051
O 7.024 0.284 6.956
O 7.772 1.463 18.238
O 7.191 0.236 13.390
O 7.887 1.406 2.054
O 8.132 1.698 15.828
O 11.468 7.469 4.519
O 8.117 1.537 9.336
O 11.574 7.519 20.683
O 9.483 3.646 5.827
O 10.446 5.311 17.193
O 10.550 5.387 10.667
O 9.518 3.484 22.094
O 9.790 3.824 13.139
O 10.440 4.931 1.794
O 9.870 3.751 19.655
O 10.567 4.922 8.263
O 12.142 6.277 15.827
O 9.517 1.709 4.452
O 9.487 1.573 20.692
O 12.254 6.357 9.343
```

* formation enthalpy at 0 K: -2.1146 eV per atom
* E_tot: -5.930 eV per atom
* SG: P1 (1)